[1]
An optimized crystal structure of CeSe2, computed with PBE.

Cell and atoms, written as POSCAR:
```
CeSe2
1.0
23.016 0.000 0.000
-11.508 19.932 0.000
0.000 0.000 15.143
Ce Se
24 48
Direct
0.130 0.461 0.074 Ce
0.130 0.461 0.426 Ce
0.130 0.669 0.574 Ce
0.130 0.669 0.926 Ce
0.331 0.461 0.574 Ce
0.331 0.461 0.926 Ce
0.331 0.870 0.074 Ce
0.331 0.870 0.426 Ce
0.461 0.130 0.074 Ce
0.461 0.130 0.426 Ce
0.461 0.331 0.574 Ce
0.461 0.331 0.926 Ce
0.539 0.669 0.074 Ce
0.539 0.669 0.426 Ce
0.539 0.870 0.574 Ce
0.539 0.870 0.926 Ce
0.669 0.130 0.574 Ce
0.669 0.130 0.926 Ce
0.669 0.539 0.074 Ce
0.669 0.539 0.426 Ce
0.870 0.331 0.074 Ce
0.870 0.331 0.426 Ce
0.870 0.539 0.574 Ce
0.870 0.539 0.926 Ce
0.000 0.369 0.040 Se
0.000 0.369 0.460 Se
0.000 0.631 0.540 Se
0.000 0.631 0.960 Se
0.155 0.481 0.250 Se
0.155 0.674 0.750 Se
0.164 0.582 0.000 Se
0.164 0.582 0.500 Se
0.207 0.415 0.000 Se
0.207 0.415 0.500 Se
0.207 0.793 0.000 Se
0.207 0.793 0.500 Se
0.326 0.481 0.750 Se
0.326 0.845 0.250 Se
0.369 0.000 0.040 Se
0.369 0.000 0.460 Se
0.369 0.369 0.540 Se
0.369 0.369 0.960 Se
0.415 0.207 0.000 Se
0.415 0.207 0.500 Se
0.418 0.582 0.000 Se
0.418 0.582 0.500 Se
0.418 0.836 0.000 Se
0.418 0.836 0.500 Se
0.481 0.155 0.250 Se
0.481 0.326 0.750 Se
0.519 0.674 0.250 Se
0.519 0.845 0.750 Se
0.582 0.164 0.000 Se
0.582 0.164 0.500 Se
0.582 0.418 0.000 Se
0.582 0.418 0.500 Se
0.585 0.793 0.000 Se
0.585 0.793 0.500 Se
0.631 0.000 0.540 Se
0.631 0.000 0.960 Se
0.631 0.631 0.040 Se
0.631 0.631 0.460 Se
0.674 0.155 0.750 Se
0.674 0.519 0.250 Se
0.793 0.207 0.000 Se
0.793 0.207 0.500 Se
0.793 0.585 0.000 Se
0.793 0.585 0.500 Se
0.836 0.418 0.000 Se
0.836 0.418 0.500 Se
0.845 0.326 0.250 Se
0.845 0.519 0.750 Se
```

**Magnetization**: 0.00 μB per formula unit
**SG**: No. 193
**Energy of formation**: -1.40 eV per atom

---

[2]
An optimized crystal structure of BaYCuSbO5, computed with PBE.

Cell and atoms, written as POSCAR:
```
BaYCuSbO5
1.0
4.116 0.000 0.000
0.000 4.116 0.000
0.000 0.000 7.950
Ba Y Cu Sb O
1 1 1 1 5
Direct
0.000 0.000 0.000 Ba
0.000 0.000 0.425 Y
0.500 0.500 0.264 Cu
0.500 0.500 0.671 Sb
0.000 0.500 0.263 O
0.000 0.500 0.626 O
0.500 0.000 0.263 O
0.500 0.000 0.626 O
0.500 0.500 0.920 O
```

**Magnetization**: 0.00 μB per formula unit
**SG**: No. 99
**Energy of formation**: -2.38 eV per atom

---

[3]
An optimized crystal structure of NaSrZrBiO6, computed with PBE.

Cell and atoms, written as POSCAR:
```
NaSrZrBiO6
1.0
0.000 4.192 4.192
4.192 0.000 4.192
4.192 4.192 0.000
Na Sr Zr Bi O
1 1 1 1 6
Direct
0.000 0.000 0.000 Na
0.500 0.500 0.500 Sr
0.250 0.250 0.250 Zr
0.750 0.750 0.750 Bi
0.001 0.001 0.499 O
0.001 0.499 0.001 O
0.001 0.499 0.499 O
0.499 0.001 0.001 O
0.499 0.001 0.499 O
0.499 0.499 0.001 O
```

**Magnetization**: 0.00 μB per formula unit
**SG**: No. 216
**Energy of formation**: -2.54 eV per atom

---

[4]
An optimized crystal structure of LaEuPd2, computed with PBE.

Cell and atoms, written as POSCAR:
```
LaEuPd2
1.0
0.000 3.653 3.653
3.653 0.000 3.653
3.653 3.653 0.000
La Eu Pd
1 1 2
Direct
0.000 0.000 0.000 La
0.500 0.500 0.500 Eu
0.250 0.250 0.250 Pd
0.750 0.750 0.750 Pd
```

**Magnetization**: 6.95 μB per formula unit
**SG**: No. 225
**Energy of formation**: -0.74 eV per atom

---

| no. | uncorrected energy (eV/atom) |
| --- | --- |
| 1 | -5.391 |
| 2 | -6.590 |
| 3 | -6.641 |
| 4 | -7.132 |